Record 1
Material: Li2BiS2
Method: DFT, GGA-PBE
State: optimized geometry

As for the space group: No. 58. The crystal system is orthorhombic. The value obtained for the distance to the lowest polymorph of the same formula is 0.005 eV per atom.

Lattice parameters (Å, degrees): 3.998 4.026 13.500 90.00 90.00 90.00
Fractional positions:
Li 0.929 0.000 0.257
Li 0.571 0.500 0.757
Li 0.071 0.000 0.743
Li 0.429 0.500 0.243
S 0.432 0.000 0.353
S 0.932 0.500 0.147
S 0.568 0.000 0.647
S 0.068 0.500 0.853
Bi 0.500 0.500 0.500
Bi 0.000 0.000 0.000



Record 2
Material: CeAg2Ge2
Method: DFT, GGA-PBE
State: optimized geometry

As for the space group: No. 139. The crystal system is tetragonal. Its calculated total energy is -4.5498 eV/atom.

Lattice parameters (Å, degrees): 6.376 6.376 6.376 140.56 140.56 57.00
Fractional positions:
Ge 0.609 0.609 0.000
Ge 0.391 0.391 0.000
Ce 0.000 0.000 0.000
Ag 0.250 0.750 0.500
Ag 0.750 0.250 0.500



Record 3
Material: K3YBr6
Method: DFT, GGA-PBE
State: optimized geometry

As for the space group: No. 225. The crystal system is cubic. Its calculated total energy is -3.7307 eV/atom.

Lattice parameters (Å, degrees): 8.366 8.366 8.366 60.00 60.00 60.00
Fractional positions:
Br 0.236 0.236 0.764
Br 0.764 0.236 0.764
Br 0.236 0.764 0.764
Br 0.764 0.764 0.236
Br 0.236 0.764 0.236
Br 0.764 0.236 0.236
Y 0.000 0.000 0.000
K 0.750 0.750 0.750
K 0.250 0.250 0.250
K 0.500 0.500 0.500



Record 4
Material: Mg14NbBiO16
Method: DFT, GGA-PBE
State: optimized geometry

As for the space group: No. 47. The crystal system is orthorhombic. The value obtained for the distance to the lowest polymorph of the same formula is 0.008 eV per atom.

Lattice parameters (Å, degrees): 8.779 8.831 4.453 90.00 90.00 90.00
Fractional positions:
Mg 0.264 0.500 0.500
Mg 0.740 0.755 0.000
Mg 0.744 0.000 0.500
Mg 0.500 0.000 0.000
Mg 0.500 0.248 0.500
Mg 0.500 0.500 0.000
Mg 0.740 0.245 0.000
Mg 0.500 0.752 0.500
Mg 0.000 0.760 0.500
Mg 0.256 0.000 0.500
Mg 0.736 0.500 0.500
Mg 0.000 0.240 0.500
Mg 0.260 0.755 0.000
Mg 0.260 0.245 0.000
Bi 0.000 0.500 0.000
O 0.500 0.500 0.500
O 0.000 0.757 0.000
O 0.249 0.750 0.500
O 0.000 0.500 0.500
O 0.751 0.750 0.500
O 0.726 0.500 0.000
O 0.274 0.500 0.000
O 0.751 0.250 0.500
O 0.500 0.000 0.500
O 0.249 0.250 0.500
O 0.737 0.000 0.000
O 0.500 0.754 0.000
O 0.263 0.000 0.000
O 0.000 0.000 0.500
O 0.000 0.243 0.000
O 0.500 0.246 0.000
Nb 0.000 0.000 0.000